Record 1
## Sr2FeCoO6 (GGA+U)

Data for a relaxed structure of Sr2FeCoO6.

Structure (POSCAR):
```
Sr2FeCoO6
1.0
4.294 1.646 -3.075
0.377 -4.509 3.170
-1.221 -7.392 -5.863
Sr Fe Co O
4 2 2 12
direct
0.625 0.252 0.123
0.124 0.247 0.629
0.877 0.746 0.376
0.371 0.753 0.875
0.499 0.997 0.503
0.997 0.004 0.999
0.747 0.501 0.751
0.253 0.489 0.258
0.130 0.266 0.127
0.633 0.256 0.629
0.381 0.242 0.376
0.872 0.252 0.876
0.608 0.743 0.126
0.116 0.739 0.628
0.374 0.741 0.371
0.876 0.747 0.866
0.113 0.765 0.122
0.629 0.745 0.625
0.887 0.255 0.371
0.386 0.258 0.867
```

Properties
MP2020-corrected energy = -0.256 hartree per atom
energy = -6.15 eV per atom
formation enthalpy at 0 K = -2088 meV/atom
crystal system = triclinic
space group = P1

Record 2
## Na3W10O30 (GGA+U)

Data for a relaxed structure of Na3W10O30.

Structure (POSCAR):
```
Na3W10O30
1.0
-0.837 -4.506 -3.049
4.088 2.458 -4.756
13.741 -6.226 5.427
Na W O
3 10 30
direct
0.000 0.000 0.000
0.500 0.100 0.700
0.500 0.900 0.300
0.500 0.204 0.900
0.000 0.500 0.000
0.500 0.599 0.699
0.000 0.897 0.799
0.500 0.000 0.500
0.000 0.302 0.598
0.500 0.401 0.301
0.000 0.698 0.402
0.500 0.796 0.100
0.000 0.103 0.201
0.752 0.347 0.950
0.248 0.347 0.950
0.000 0.702 0.901
0.500 0.000 0.000
0.748 0.753 0.750
0.750 0.050 0.850
0.252 0.753 0.750
0.250 0.050 0.850
0.500 0.397 0.799
0.000 0.099 0.700
0.748 0.447 0.651
0.748 0.150 0.551
0.252 0.447 0.651
0.252 0.150 0.551
0.500 0.802 0.601
0.000 0.500 0.500
0.252 0.553 0.349
0.252 0.850 0.449
0.748 0.850 0.449
0.748 0.553 0.349
0.000 0.901 0.300
0.500 0.198 0.399
0.250 0.950 0.150
0.750 0.950 0.150
0.252 0.247 0.250
0.748 0.247 0.250
0.000 0.298 0.099
0.500 0.603 0.201
0.248 0.653 0.050
0.752 0.653 0.050
```

Properties
MP2020-corrected energy = -0.322 hartree per atom
energy = -7.24 eV per atom
formation enthalpy at 0 K = -2195 meV/atom
crystal system = monoclinic
space group = P2/m

Record 3
## Li3Mn4CoO8 (GGA+U)

Data for a relaxed structure of Li3Mn4CoO8.

Structure (POSCAR):
```
Li3Mn4CoO8
1.0
0.752 -4.084 -4.366
1.975 -5.499 1.471
-3.727 -4.853 -0.396
Li Mn Co O
3 4 1 8
direct
0.500 0.000 0.500
0.000 0.000 0.500
0.000 0.500 0.500
0.500 0.500 0.500
0.000 0.000 0.000
0.500 0.000 0.000
0.000 0.500 0.000
0.500 0.500 0.000
0.253 0.253 0.205
0.763 0.263 0.234
0.263 0.763 0.234
0.746 0.746 0.273
0.254 0.254 0.727
0.737 0.237 0.766
0.237 0.737 0.766
0.747 0.747 0.795
```

Properties
MP2020-corrected energy = -0.278 hartree per atom
energy = -6.71 eV per atom
formation enthalpy at 0 K = -2005 meV/atom
crystal system = monoclinic
space group = C2/m